Record 1
Density functional theory data (PBE) for crystalline SmTh3 at its relaxed geometry.

```
4
Lattice="5.054 0.000 0.000 0.000 5.054 0.000 0.000 0.000 5.054" Properties=species:S:1:pos:R:3 pbc="T T T"
Sm 0.000 0.000 0.000
Th 0.000 2.527 2.527
Th 2.527 0.000 2.527
Th 2.527 2.527 0.000
```

Output
* formation enthalpy at 0 K: 43 meV per atom


Record 2
Density functional theory data (PBE) for crystalline SmTl at its relaxed geometry.

```
2
Lattice="-1.674 -0.036 3.489 3.292 -1.297 1.566 1.155 3.646 0.591" Properties=species:S:1:pos:R:3 pbc="T T T"
Sm 0.000 0.000 0.000
Tl 1.387 1.156 2.823
```

Output
* formation enthalpy at 0 K: -379 meV per atom


Record 3
Density functional theory data (PBE) for crystalline SmTl3 at its relaxed geometry.

```
4
Lattice="-1.836 0.243 4.448 1.780 -4.371 0.973 4.084 2.014 1.575" Properties=species:S:1:pos:R:3 pbc="T T T"
Sm 0.000 0.000 0.000
Tl 2.932 -1.178 1.274
Tl -0.028 -2.064 2.711
Tl 1.124 1.129 3.012
```

Output
* formation enthalpy at 0 K: -276 meV per atom